Compound: Li2Mn2NiO6
Source: Materials Project
Functional: GGA+U
Structure: relaxed Values from VASP.

Values from the calculation:
formation enthalpy at 0 K = -1877 meV/atom
symmetry = Cmce
MP2020-corrected energy = -7.11 eV/atom
distance to the lowest polymorph of the same formula = 0.003 eV/atom

Geometry as Quantum ESPRESSO input:
```
&SYSTEM
  ibrav = 0, nat = 22, ntyp = 4
/
ATOMIC_SPECIES
Li 6.94 Li.upf
Mn 54.94 Mn.upf
Ni 58.69 Ni.upf
O 16.00 O.upf
ATOMIC_POSITIONS crystal
Li 0.170 0.330 0.250
Li 0.330 0.170 0.750
Li 0.670 0.830 0.250
Li 0.830 0.670 0.750
Mn 0.163 0.163 0.000
Mn 0.337 0.337 0.500
Mn 0.663 0.663 0.500
Mn 0.837 0.837 0.000
Ni 0.000 0.000 0.500
Ni 0.500 0.500 0.000
O 0.004 0.358 0.605
O 0.142 0.496 0.895
O 0.149 0.851 0.099
O 0.351 0.649 0.599
O 0.358 0.004 0.395
O 0.496 0.142 0.105
O 0.504 0.858 0.895
O 0.642 0.996 0.605
O 0.649 0.351 0.401
O 0.851 0.149 0.901
O 0.858 0.504 0.105
O 0.996 0.642 0.395
CELL_PARAMETERS angstrom
4.384 -2.527 0.000
4.384 2.527 0.000
0.000 0.000 10.262
```

***

Compound: Li4Mn3Ni3O12
Source: Materials Project
Functional: GGA+U
Structure: relaxed Values from VASP.

Values from the calculation:
formation enthalpy at 0 K = -1757 meV/atom
symmetry = P-1
MP2020-corrected energy = -6.84 eV/atom

Geometry as Quantum ESPRESSO input:
```
&SYSTEM
  ibrav = 0, nat = 22, ntyp = 4
/
ATOMIC_SPECIES
Li 6.94 Li.upf
Mn 54.94 Mn.upf
Ni 58.69 Ni.upf
O 16.00 O.upf
ATOMIC_POSITIONS crystal
Li 0.000 0.000 0.000
Li 0.176 0.659 0.654
Li 0.500 0.000 0.000
Li 0.824 0.341 0.346
Mn 0.164 0.172 0.660
Mn 0.500 0.500 0.000
Mn 0.836 0.828 0.340
Ni 0.000 0.500 0.000
Ni 0.337 0.831 0.337
Ni 0.663 0.169 0.663
O 0.065 0.069 0.345
O 0.076 0.620 0.331
O 0.254 0.257 0.971
O 0.274 0.735 0.024
O 0.402 0.412 0.690
O 0.403 0.952 0.647
O 0.597 0.048 0.353
O 0.598 0.588 0.310
O 0.726 0.265 0.976
O 0.746 0.743 0.029
O 0.924 0.380 0.669
O 0.935 0.931 0.655
CELL_PARAMETERS angstrom
5.860 0.000 0.000
-0.171 5.938 0.000
-1.448 -1.631 6.160
```

***

Compound: Li5MnNi4O10
Source: Materials Project
Functional: GGA+U
Structure: relaxed Values from VASP.

Values from the calculation:
formation enthalpy at 0 K = -1658 meV/atom
symmetry = P-1
MP2020-corrected energy = -6.22 eV/atom

Geometry as Quantum ESPRESSO input:
```
&SYSTEM
  ibrav = 0, nat = 20, ntyp = 4
/
ATOMIC_SPECIES
Li 6.94 Li.upf
Mn 54.94 Mn.upf
Ni 58.69 Ni.upf
O 16.00 O.upf
ATOMIC_POSITIONS crystal
Li 0.000 0.000 0.000
Li 0.201 0.593 0.603
Li 0.398 0.205 0.193
Li 0.602 0.795 0.807
Li 0.799 0.407 0.397
Mn 0.500 0.000 0.500
Ni 0.107 0.795 0.297
Ni 0.287 0.404 0.900
Ni 0.713 0.596 0.100
Ni 0.893 0.205 0.703
O 0.033 0.911 0.634
O 0.140 0.679 0.957
O 0.287 0.504 0.239
O 0.363 0.278 0.552
O 0.425 0.124 0.848
O 0.575 0.876 0.152
O 0.637 0.722 0.448
O 0.713 0.496 0.761
O 0.860 0.321 0.043
O 0.967 0.089 0.366
CELL_PARAMETERS angstrom
2.908 0.000 0.000
1.423 6.362 0.000
0.256 1.909 9.540
```